# 1
# K2O | the Materials Project database | PBE | relaxed
# - Energy of formation: -1.218 eV/atom
# - Density: 2.0 g/cm³
# - MP2020-corrected energy: -3.61 eV per atom
data_K2O
_cell_length_a 5.9471
_cell_length_b 6.3261
_cell_length_c 4.2367
_cell_angle_alpha 90.00
_cell_angle_beta 90.00
_cell_angle_gamma 90.00
_space_group_name_H-M_alt 'P n n m'
_space_group_IT_number 58
loop_
_space_group_symop_operation_xyz
'x,y,z'
'-x,-y,-z'
'-x,-y,z'
'x,y,-z'
'x+1/2,-y+1/2,-z+1/2'
'-x+1/2,y+1/2,z+1/2'
'-x+1/2,y+1/2,-z+1/2'
'x+1/2,-y+1/2,z+1/2'
loop_
_atom_site_label
_atom_site_type_symbol
_atom_site_fract_x
_atom_site_fract_y
_atom_site_fract_z
K1 K 0.1713 0.2044 0.0000
O1 O 0.0000 0.0000 0.5000

***

# 2
# K2O | the Materials Project database | PBE | relaxed
# - Energy of formation: -1.248 eV/atom
# - Density: 2.3 g/cm³
# - MP2020-corrected energy: -3.64 eV per atom
data_K2O
_cell_length_a 6.4878
_cell_length_b 6.4878
_cell_length_c 6.4878
_cell_angle_alpha 90.00
_cell_angle_beta 90.00
_cell_angle_gamma 90.00
_space_group_name_H-M_alt 'F m -3 m'
_space_group_IT_number 225
_space_group_name_Hall '-F 4 2 3'
loop_
_atom_site_label
_atom_site_type_symbol
_atom_site_fract_x
_atom_site_fract_y
_atom_site_fract_z
K1 K 0.2500 0.2500 0.2500
O1 O 0.0000 0.0000 0.0000

***

# 3
# K2O | the Materials Project database | PBE | relaxed
# - Energy of formation: -1.208 eV/atom
# - Density: 1.7 g/cm³
# - MP2020-corrected energy: -3.60 eV per atom
data_K2O
_cell_length_a 5.2431
_cell_length_b 5.2431
_cell_length_c 13.3084
_cell_angle_alpha 90.00
_cell_angle_beta 90.00
_cell_angle_gamma 90.00
_space_group_name_H-M_alt 'I 41/a m d'
_space_group_IT_number 141
loop_
_space_group_symop_operation_xyz
'x,y,z'
'-x,-y,-z'
'-y+1/4,x+3/4,z+1/4'
'y+1/4,-x+3/4,-z+1/4'
'-x+1/2,-y,z+1/2'
'x+1/2,y,-z+1/2'
'y+1/4,-x+1/4,z+3/4'
'-y+1/4,x+1/4,-z+3/4'
'x,-y,-z'
'-x,y,z'
'-y+1/4,-x+1/4,-z+3/4'
'y+1/4,x+1/4,z+3/4'
'-x+1/2,y,-z+1/2'
'x+1/2,-y,z+1/2'
'y+1/4,x+3/4,-z+1/4'
'-y+1/4,-x+3/4,z+1/4'
'x+1/2,y+1/2,z+1/2'
'-x+1/2,-y+1/2,-z+1/2'
'-y+3/4,x+1/4,z+3/4'
'y+3/4,-x+1/4,-z+3/4'
'-x,-y+1/2,z'
'x,y+1/2,-z'
'y+3/4,-x+3/4,z+1/4'
'-y+3/4,x+3/4,-z+1/4'
'x+1/2,-y+1/2,-z+1/2'
'-x+1/2,y+1/2,z+1/2'
'-y+3/4,-x+3/4,-z+1/4'
'y+3/4,x+3/4,z+1/4'
'-x,y+1/2,-z'
'x,-y+1/2,z'
'y+3/4,x+1/4,-z+3/4'
'-y+3/4,-x+1/4,z+3/4'
loop_
_atom_site_label
_atom_site_type_symbol
_atom_site_fract_x
_atom_site_fract_y
_atom_site_fract_z
K1 K 0.0000 0.2500 0.0751
O1 O 0.0000 0.2500 0.8750

***

# 4
# K2O | the Materials Project database | PBE | relaxed
# - Energy of formation: -1.188 eV/atom
# - Density: 2.5 g/cm³
# - MP2020-corrected energy: -3.58 eV per atom
data_K2O
_cell_length_a 7.0890
_cell_length_b 7.0890
_cell_length_c 4.3641
_cell_angle_alpha 90.00
_cell_angle_beta 90.00
_cell_angle_gamma 120.00
_space_group_name_H-M_alt 'P 3'
_space_group_IT_number 143
loop_
_space_group_symop_operation_xyz
'x,y,z'
'-y,x-y,z'
'-x+y,-x,z'
loop_
_atom_site_label
_atom_site_type_symbol
_atom_site_fract_x
_atom_site_fract_y
_atom_site_fract_z
K1 K 0.0070 0.7372 0.0000
K2 K 0.4072 0.0071 0.5065
O1 O 0.0000 0.0000 0.5015
O2 O 0.3333 0.6667 0.9158
O3 O 0.6667 0.3333 0.0123

***

Copy entry 1 word for word.
# K2O | the Materials Project database | PBE | relaxed
# - Energy of formation: -1.218 eV/atom
# - Density: 2.0 g/cm³
# - MP2020-corrected energy: -3.61 eV per atom
data_K2O
_cell_length_a 5.9471
_cell_length_b 6.3261
_cell_length_c 4.2367
_cell_angle_alpha 90.00
_cell_angle_beta 90.00
_cell_angle_gamma 90.00
_space_group_name_H-M_alt 'P n n m'
_space_group_IT_number 58
loop_
_space_group_symop_operation_xyz
'x,y,z'
'-x,-y,-z'
'-x,-y,z'
'x,y,-z'
'x+1/2,-y+1/2,-z+1/2'
'-x+1/2,y+1/2,z+1/2'
'-x+1/2,y+1/2,-z+1/2'
'x+1/2,-y+1/2,z+1/2'
loop_
_atom_site_label
_atom_site_type_symbol
_atom_site_fract_x
_atom_site_fract_y
_atom_site_fract_z
K1 K 0.1713 0.2044 0.0000
O1 O 0.0000 0.0000 0.5000